(1)
Material: Y3In2Ga3O12
Method: DFT, PBE
State: relaxed

Lattice parameters (Å, degrees): 11.0255 11.0255 11.0255 109.47 109.47 109.47
Closest atoms and distances in Å follow each position.
Fractional positions:
Y 0.1250 0.2500 0.3750  8 O 2.40-2.47
Y 0.1250 0.3750 0.7500  8 O 2.40-2.47
Y 0.2500 0.3750 0.1250  8 O 2.40-2.47
Y 0.2500 0.8750 0.6250  8 O 2.40-2.47
Y 0.3750 0.1250 0.2500  8 O 2.40-2.47
Y 0.3750 0.7500 0.1250  8 O 2.40-2.47
Y 0.6250 0.2500 0.8750  8 O 2.40-2.47
Y 0.6250 0.8750 0.7500  8 O 2.40-2.47
Y 0.7500 0.1250 0.3750  8 O 2.40-2.47
Y 0.7500 0.6250 0.8750  8 O 2.40-2.47
Y 0.8750 0.6250 0.2500  8 O 2.40-2.47
Y 0.8750 0.7500 0.6250  8 O 2.40-2.47
In 0.0000 0.0000 0.0000  6 O 2.18
In 0.0000 0.0000 0.5000  6 O 2.18
In 0.0000 0.5000 0.0000  6 O 2.18
In 0.0000 0.5000 0.5000  6 O 2.18
In 0.5000 0.0000 0.0000  6 O 2.18
In 0.5000 0.0000 0.5000  6 O 2.18
In 0.5000 0.5000 0.0000  6 O 2.18
In 0.5000 0.5000 0.5000  6 O 2.18
Ga 0.1250 0.7500 0.8750  4 O 1.87
Ga 0.1250 0.8750 0.2500  4 O 1.87
Ga 0.2500 0.1250 0.8750  4 O 1.87
Ga 0.2500 0.6250 0.3750  4 O 1.87
Ga 0.3750 0.2500 0.6250  4 O 1.87
Ga 0.3750 0.6250 0.7500  4 O 1.87
Ga 0.6250 0.3750 0.2500  4 O 1.87
Ga 0.6250 0.7500 0.3750  4 O 1.87
Ga 0.7500 0.3750 0.6250  4 O 1.87
Ga 0.7500 0.8750 0.1250  4 O 1.87
Ga 0.8750 0.1250 0.7500  4 O 1.87
Ga 0.8750 0.2500 0.1250  4 O 1.87
O 0.0328 0.2180 0.1299  1 Ga 1.87
O 0.0328 0.3148 0.9029  1 Ga 1.87
O 0.0881 0.7180 0.6852  1 Ga 1.87
O 0.0881 0.8701 0.4029  1 Ga 1.87
O 0.0971 0.6299 0.4119  1 Ga 1.87
O 0.0971 0.9672 0.6852  1 Ga 1.87
O 0.1299 0.0328 0.2180  1 Ga 1.87
O 0.1299 0.5971 0.9119  1 Ga 1.87
O 0.1852 0.2180 0.5881  1 Ga 1.87
O 0.1852 0.4672 0.5971  1 Ga 1.87
O 0.2180 0.1299 0.0328  1 Ga 1.87
O 0.2180 0.5881 0.1852  1 Ga 1.87
O 0.2820 0.3148 0.9119  1 Ga 1.87
O 0.2820 0.4672 0.3701  1 Ga 1.87
O 0.3148 0.9029 0.0328  1 Ga 1.87
O 0.3148 0.9119 0.2820  1 Ga 1.87
O 0.3701 0.2820 0.4672  1 Ga 1.87
O 0.3701 0.5881 0.9029  1 Ga 1.87
O 0.4029 0.0881 0.8701  1 Ga 1.87
O 0.4029 0.8148 0.5328  1 Ga 1.87
O 0.4119 0.0971 0.6299  1 Ga 1.87
O 0.4119 0.8148 0.7820  1 Ga 1.87
O 0.4672 0.3701 0.2820  1 Ga 1.87
O 0.4672 0.5971 0.1852  1 Ga 1.87
O 0.5328 0.4029 0.8148  1 Ga 1.87
O 0.5328 0.6299 0.7180  1 Ga 1.87
O 0.5881 0.1852 0.2180  1 Ga 1.87
O 0.5881 0.9029 0.3701  1 Ga 1.87
O 0.5971 0.1852 0.4672  1 Ga 1.87
O 0.5971 0.9119 0.1299  1 Ga 1.87
O 0.6299 0.4119 0.0971  1 Ga 1.87
O 0.6299 0.7180 0.5328  1 Ga 1.87
O 0.6852 0.0881 0.7180  1 Ga 1.87
O 0.6852 0.0971 0.9672  1 Ga 1.87
O 0.7180 0.5328 0.6299  1 Ga 1.87
O 0.7180 0.6852 0.0881  1 Ga 1.87
O 0.7820 0.4119 0.8148  1 Ga 1.87
O 0.7820 0.8701 0.9672  1 Ga 1.87
O 0.8148 0.5328 0.4029  1 Ga 1.87
O 0.8148 0.7820 0.4119  1 Ga 1.87
O 0.8701 0.4029 0.0881  1 Ga 1.87
O 0.8701 0.9672 0.7820  1 Ga 1.87
O 0.9029 0.0328 0.3148  1 Ga 1.87
O 0.9029 0.3701 0.5881  1 Ga 1.87
O 0.9119 0.1299 0.5971  1 Ga 1.87
O 0.9119 0.2820 0.3148  1 Ga 1.87
O 0.9672 0.6852 0.0971  1 Ga 1.87
O 0.9672 0.7820 0.8701  1 Ga 1.87

Computed properties:
The calculation puts the energy relative to the elements at -277.4 kJ per mole of atoms. As for the symmetry: Ia-3d. For the total magnetization, the calculation gives 0.00 μB per formula unit. The total energy is -570.5 eV/cell.



(2)
Material: La2MgI8
Method: DFT, PBE
State: relaxed

Lattice parameters (Å, degrees): 9.4630 9.4630 13.5421 110.98 110.98 61.57
Closest atoms and distances in Å follow each position.
Fractional positions:
La 0.0173 0.4374 0.1895  7 I 3.17-3.50
La 0.4374 0.0173 0.6895  7 I 3.17-3.50
La 0.5626 0.9827 0.3105  7 I 3.17-3.50
La 0.9827 0.5626 0.8105  7 I 3.17-3.50
Mg 0.0092 0.9908 0.2500  6 I 2.87-3.12
Mg 0.9908 0.0092 0.7500  6 I 2.87-3.12
I 0.0385 0.1985 0.6252  1 Mg 3.12, 2 La 3.24-3.39
I 0.0709 0.6658 0.6487  1 Mg 2.87, 1 La 3.17
I 0.1039 0.6560 0.0943  1 Mg 3.03, 1 La 3.30
I 0.1985 0.0385 0.1252  1 Mg 3.12, 2 La 3.24-3.39
I 0.3342 0.9291 0.8513  1 Mg 2.87, 1 La 3.17
I 0.3440 0.8961 0.4057  1 Mg 3.03, 1 La 3.30
I 0.3657 0.3739 0.3622  2 La 3.19-3.21
I 0.3739 0.3657 0.8622  2 La 3.19-3.21
I 0.6261 0.6343 0.1378  2 La 3.19-3.21
I 0.6343 0.6261 0.6378  2 La 3.19-3.21
I 0.6560 0.1039 0.5943  1 Mg 3.03, 1 La 3.30
I 0.6658 0.0709 0.1487  1 Mg 2.87, 1 La 3.17
I 0.8015 0.9615 0.8748  1 Mg 3.12, 2 La 3.24-3.39
I 0.8961 0.3440 0.9057  1 Mg 3.03, 1 La 3.30
I 0.9291 0.3342 0.3513  1 Mg 2.87, 1 La 3.17
I 0.9615 0.8015 0.3748  1 Mg 3.12, 2 La 3.24-3.39

Computed properties:
The calculation puts the energy relative to the elements at -156.6 kJ per mole of atoms. As for the symmetry: C2/c. For the total magnetization, the calculation gives 0.00 μB per formula unit. The total energy is -77.0 eV/cell.



(3)
Material: LaHg
Method: DFT, PBE
State: relaxed

Lattice parameters (Å, degrees): 3.9171 3.9171 3.9171 90.00 90.00 90.00
Closest atoms and distances in Å follow each position.
Fractional positions:
La 0.0000 0.0000 0.0000  8 Hg 3.39
Hg 0.5000 0.5000 0.5000  8 La 3.39

Computed properties:
The calculation puts the energy relative to the elements at -48.2 kJ per mole of atoms. As for the symmetry: Pm-3m. The total energy is -6.2 eV/cell.